OsOF5: relaxed, PBE.

Cell: 5.238 8.921 9.695 Å, 90.00 90.00 90.00°
Fractional coordinates of all 28 atoms:
Os: 0.926 0.750 0.115
Os: 0.426 0.250 0.385
Os: 0.074 0.250 0.885
Os: 0.574 0.750 0.615
O: 0.190 0.750 0.014
O: 0.690 0.250 0.486
O: 0.810 0.250 0.986
O: 0.310 0.750 0.514
F: 0.625 0.750 0.226
F: 0.125 0.250 0.274
F: 0.375 0.250 0.774
F: 0.875 0.750 0.726
F: 0.756 0.899 0.013
F: 0.256 0.101 0.487
F: 0.244 0.399 0.987
F: 0.744 0.601 0.513
F: 0.244 0.101 0.987
F: 0.744 0.899 0.513
F: 0.756 0.601 0.013
F: 0.256 0.399 0.487
F: 0.044 0.898 0.238
F: 0.544 0.102 0.262
F: 0.956 0.398 0.762
F: 0.456 0.602 0.738
F: 0.956 0.102 0.762
F: 0.456 0.898 0.738
F: 0.044 0.602 0.238
F: 0.544 0.398 0.262

Values from the calculation:
As for the symmetry: No. 62. As for the theoretical density: 4.42 g/cm3. As for the volume: 16.2 Å³/atom.

***

OsO2F2: relaxed, PBE.

Cell: 8.680 8.793 9.134 Å, 90.61 90.50 90.15°
Fractional coordinates of all 40 atoms:
Os: 0.000 0.001 0.000
Os: 0.499 0.758 0.001
Os: 0.501 0.252 0.972
Os: 0.990 0.500 0.751
Os: 0.503 0.498 0.497
Os: 0.258 0.000 0.499
Os: 0.749 0.998 0.487
Os: 0.000 0.500 0.276
O: 0.385 0.861 0.881
O: 0.889 0.384 0.867
O: 0.381 0.368 0.876
O: 0.607 0.638 0.888
O: 0.108 0.614 0.862
O: 0.619 0.133 0.878
O: 0.888 0.620 0.638
O: 0.860 0.108 0.610
O: 0.361 0.121 0.613
O: 0.875 0.885 0.390
O: 0.362 0.884 0.382
O: 0.882 0.383 0.372
O: 0.120 0.617 0.374
O: 0.635 0.123 0.392
O: 0.140 0.112 0.388
O: 0.620 0.861 0.115
F: 0.878 0.878 0.875
F: 0.124 0.120 0.876
F: 0.634 0.883 0.621
F: 0.131 0.883 0.619
F: 0.380 0.623 0.620
F: 0.622 0.379 0.626
F: 0.120 0.382 0.633
F: 0.622 0.626 0.378
F: 0.372 0.379 0.378
F: 0.902 0.596 0.115
F: 0.385 0.628 0.121
F: 0.595 0.349 0.137
F: 0.124 0.878 0.122
F: 0.879 0.124 0.124
F: 0.096 0.402 0.114
F: 0.404 0.153 0.131

Values from the calculation:
Its energy relative to the lowest polymorph listed for this composition is 0.593 eV/f.u. As for the symmetry: No. 1. As for the theoretical density: 4.96 g/cm3. As for the volume: 17.4 Å³/atom.

***

Asked for E_form across the records above, the calculation gives -13.99 -7.30 eV/f.u. in order.